# 1
Crystalline BaSn3Pd at its relaxed geometry. Source: Materials Project, functional PBE-GGA.

```
10
Lattice="4.968 0.000 0.000 0.000 4.968 0.000 0.000 0.000 11.368" Properties=species:S:1:pos:R:3 pbc="T T T"
Ba 0.000 0.000 0.000
Ba 2.484 2.484 5.684
Sn 0.000 0.000 4.687
Sn 0.000 2.484 2.839
Sn 0.000 2.484 8.523
Sn 2.484 0.000 2.839
Sn 2.484 0.000 8.523
Sn 2.484 2.484 10.371
Pd 0.000 0.000 7.376
Pd 2.484 2.484 1.692
```

Output
Energy relative to the elements in eV per atom: -0.65
VASP energy in eV/atom: -4.472


# 2
Crystalline Ba3Pm at its relaxed geometry. Source: Materials Project, functional PBE-GGA.

```
8
Lattice="5.932 0.000 0.000 0.000 5.932 0.000 0.000 0.000 11.983" Properties=species:S:1:pos:R:3 pbc="T T T"
Ba 0.000 0.000 0.000
Ba 0.000 2.966 2.996
Ba 0.000 2.966 8.987
Ba 2.966 0.000 2.996
Ba 2.966 0.000 8.987
Ba 2.966 2.966 5.992
Pm 0.000 0.000 5.992
Pm 2.966 2.966 0.000
```

Output
Energy relative to the elements in eV per atom: 0.21
VASP energy in eV/atom: -2.417
Energy relative to the lowest polymorph listed for this composition in meV per atom: 18.6


# 3
Crystalline Ba3Pm at its relaxed geometry. Source: Materials Project, functional PBE-GGA.

```
4
Lattice="5.947 0.000 0.000 0.000 5.947 0.000 0.000 0.000 5.947" Properties=species:S:1:pos:R:3 pbc="T T T"
Ba 0.000 0.000 2.973
Ba 0.000 2.973 0.000
Ba 2.973 0.000 0.000
Pm 2.973 2.973 2.973
```

Output
Energy relative to the elements in eV per atom: 0.22
VASP energy in eV/atom: -2.411
Energy relative to the lowest polymorph listed for this composition in meV per atom: 25.4


# 4
Crystalline Ba3Pm at its relaxed geometry. Source: Materials Project, functional PBE-GGA.

```
8
Lattice="8.518 0.000 0.000 -4.259 7.377 0.000 0.000 0.000 6.763" Properties=species:S:1:pos:R:3 pbc="T T T"
Ba 0.000 2.546 1.691
Ba -2.054 6.104 1.691
Ba 2.205 1.273 5.072
Ba 2.054 6.104 1.691
Ba 6.314 1.273 5.072
Ba 4.259 4.831 5.072
Pm 0.000 4.918 5.072
Pm 4.259 2.459 1.691
```

Output
Energy relative to the elements in eV per atom: 0.19
VASP energy in eV/atom: -2.436
Energy relative to the lowest polymorph listed for this composition in meV per atom: 0.0


# 5
Crystalline BaPr2S4 at its relaxed geometry. Source: Materials Project, functional PBE-GGA.

```
14
Lattice="-4.452 4.452 4.448 4.452 -4.452 4.448 4.452 4.452 -4.448" Properties=species:S:1:pos:R:3 pbc="T T T"
Ba 0.000 0.000 0.000
Ba 0.000 4.452 2.224
Pr 2.226 -1.099 3.336
Pr 3.354 2.226 1.112
Pr 2.226 5.551 -1.112
Pr 1.099 2.226 5.560
S 5.947 0.696 0.565
S 3.757 2.958 -1.659
S 0.696 2.958 -0.565
S 0.696 1.495 2.789
S 3.757 1.495 3.883
S 1.495 -0.696 6.107
S 2.958 5.148 1.659
S -1.495 3.757 5.013
```

Output
Energy relative to the elements in eV per atom: -2.33
VASP energy in eV/atom: -6.044


# 6
Crystalline BaPr2ZnS5 at its relaxed geometry. Source: Materials Project, functional PBE-GGA.

```
18
Lattice="-3.980 3.980 6.873 3.980 -3.980 6.873 3.980 3.980 -6.873" Properties=species:S:1:pos:R:3 pbc="T T T"
Ba 0.000 0.000 3.436
Ba 0.000 0.000 10.309
Pr 5.272 1.291 0.000
Pr 1.291 2.689 0.000
Pr 2.689 1.291 6.873
Pr -1.291 2.689 6.873
Zn 3.980 0.000 3.436
Zn 0.000 3.980 3.436
S 0.000 0.000 0.000
S 2.797 1.184 -1.844
S 2.797 -1.184 5.028
S 2.797 1.184 1.844
S 2.797 -1.184 8.717
S 0.000 0.000 6.873
S 1.184 5.164 -1.844
S 1.184 2.797 5.028
S 1.184 5.164 1.844
S 1.184 2.797 8.717
```

Output
Energy relative to the elements in eV per atom: -2.06
VASP energy in eV/atom: -5.498


# 7
Crystalline BaPr2Se4 at its relaxed geometry. Source: Materials Project, functional PBE-GGA.

```
14
Lattice="-4.635 4.635 4.623 4.635 -4.635 4.623 4.635 4.635 -4.623" Properties=species:S:1:pos:R:3 pbc="T T T"
Ba 0.000 0.000 0.000
Ba 0.000 4.635 2.311
Pr 2.318 3.483 -1.156
Pr 5.787 2.318 1.156
Pr 2.318 1.152 3.467
Pr -1.152 2.318 5.778
Se 3.076 0.723 0.581
Se 5.358 3.076 -1.730
Se 3.912 -1.559 4.041
Se -0.723 1.559 2.893
Se 0.723 6.194 -0.581
Se 3.076 3.912 1.730
Se 1.559 0.723 6.353
Se 1.559 3.912 5.204
```

Output
Energy relative to the elements in eV per atom: -2.19
VASP energy in eV/atom: -5.563
Maximum piezoelectric response in C/m2: 0.36


# 8
Crystalline BaPt at its relaxed geometry. Source: Materials Project, functional PBE-GGA.

```
4
Lattice="5.175 0.000 0.000 -2.588 4.482 0.000 0.000 0.000 5.468" Properties=species:S:1:pos:R:3 pbc="T T T"
Ba 0.000 2.988 1.367
Ba 2.588 1.494 4.101
Pt 0.000 0.000 0.000
Pt 0.000 0.000 2.734
```

Output
Energy relative to the elements in eV per atom: -0.75
VASP energy in eV/atom: -4.744


# 9
Crystalline BaPt2 at its relaxed geometry. Source: Materials Project, functional PBE-GGA.

```
6
Lattice="0.000 4.041 4.041 4.041 0.000 4.041 4.041 4.041 0.000" Properties=species:S:1:pos:R:3 pbc="T T T"
Ba 1.010 1.010 1.010
Ba 7.072 7.072 7.072
Pt 4.041 2.021 2.021
Pt 2.021 4.041 2.021
Pt 2.021 2.021 4.041
Pt 4.041 4.041 4.041
```

Output
Energy relative to the elements in eV per atom: -0.73
VASP energy in eV/atom: -5.413


# 10
Crystalline BaPt5 at its relaxed geometry. Source: Materials Project, functional PBE-GGA.

```
6
Lattice="5.635 0.000 0.000 -2.817 4.880 0.000 0.000 0.000 4.353" Properties=species:S:1:pos:R:3 pbc="T T T"
Ba 0.000 0.000 0.000
Pt -1.409 2.440 2.177
Pt 0.000 3.253 0.000
Pt 2.817 0.000 2.177
Pt 1.409 2.440 2.177
Pt 2.817 1.627 0.000
```

Output
Energy relative to the elements in eV per atom: -0.47
VASP energy in eV/atom: -5.852


# 11
Crystalline BaSiPt at its relaxed geometry. Source: Materials Project, functional PBE-GGA.

```
12
Lattice="6.717 0.000 0.000 0.000 6.717 0.000 0.000 0.000 6.717" Properties=species:S:1:pos:R:3 pbc="T T T"
Ba 0.793 2.565 4.152
Ba 2.565 4.152 0.793
Ba 4.152 0.793 2.565
Ba 5.923 5.923 5.923
Si 0.637 6.080 2.722
Si 2.722 0.637 6.080
Si 3.995 3.995 3.995
Si 6.080 2.722 0.637
Pt 1.048 1.048 1.048
Pt 2.310 5.669 4.407
Pt 4.407 2.310 5.669
Pt 5.669 4.407 2.310
```

Output
Energy relative to the elements in eV per atom: -0.95
VASP energy in eV/atom: -5.421


# 12
Crystalline BaSi3Pt at its relaxed geometry. Source: Materials Project, functional PBE-GGA.

```
10
Lattice="4.432 0.000 0.000 0.000 4.432 0.000 0.000 0.000 10.189" Properties=species:S:1:pos:R:3 pbc="T T T"
Ba 0.000 0.000 0.000
Ba 2.216 2.216 5.094
Si 0.000 0.000 4.039
Si 0.000 2.216 2.609
Si 0.000 2.216 7.703
Si 2.216 0.000 2.609
Si 2.216 0.000 7.703
Si 2.216 2.216 9.134
Pt 0.000 0.000 6.621
Pt 2.216 2.216 1.526
```

Output
Energy relative to the elements in eV per atom: -0.60
VASP energy in eV/atom: -5.449


# 13
Crystalline Rb3Ba at its relaxed geometry. Source: Materials Project, functional PBE-GGA.

```
16
Lattice="11.029 0.000 0.000 0.000 11.029 0.000 0.000 0.000 11.029" Properties=species:S:1:pos:R:3 pbc="T T T"
Rb 0.000 0.000 0.000
Rb 0.000 5.514 5.514
Rb 2.757 2.757 2.757
Rb 2.757 2.757 8.272
Rb 2.757 8.272 2.757
Rb 2.757 8.272 8.272
Rb 5.514 0.000 5.514
Rb 5.514 5.514 0.000
Rb 8.272 2.757 2.757
Rb 8.272 2.757 8.272
Rb 8.272 8.272 2.757
Rb 8.272 8.272 8.272
Ba 0.000 0.000 5.514
Ba 0.000 5.514 0.000
Ba 5.514 0.000 0.000
Ba 5.514 5.514 5.514
```

Output
Energy relative to the elements in eV per atom: 0.15
VASP energy in eV/atom: -1.063


# 14
Crystalline Rb3Ba at its relaxed geometry. Source: Materials Project, functional PBE-GGA.

```
8
Lattice="6.743 0.000 0.000 0.000 6.743 0.000 0.000 0.000 14.743" Properties=species:S:1:pos:R:3 pbc="T T T"
Rb 0.000 0.000 0.000
Rb 0.000 3.371 3.686
Rb 0.000 3.371 11.057
Rb 3.371 0.000 3.686
Rb 3.371 0.000 11.057
Rb 3.371 3.371 7.371
Ba 0.000 0.000 7.371
Ba 3.371 3.371 0.000
```

Output
Energy relative to the elements in eV per atom: 0.15
VASP energy in eV/atom: -1.065


# 15
Crystalline RbBa3 at its relaxed geometry. Source: Materials Project, functional PBE-GGA.

```
8
Lattice="6.405 0.000 0.000 0.000 6.405 0.000 0.000 0.000 13.593" Properties=species:S:1:pos:R:3 pbc="T T T"
Rb 0.000 0.000 0.000
Rb 3.203 3.203 6.796
Ba 0.000 0.000 6.796
Ba 0.000 3.203 3.398
Ba 0.000 3.203 10.195
Ba 3.203 0.000 3.398
Ba 3.203 0.000 10.195
Ba 3.203 3.203 0.000
```

Output
Energy relative to the elements in eV per atom: 0.12
VASP energy in eV/atom: -1.560
Energy relative to the lowest polymorph listed for this composition in meV per atom: 0.0


# 16
Crystalline RbBa3 at its relaxed geometry. Source: Materials Project, functional PBE-GGA.

```
16
Lattice="10.362 0.000 0.000 0.000 10.362 0.000 0.000 0.000 10.362" Properties=species:S:1:pos:R:3 pbc="T T T"
Rb 0.000 0.000 0.000
Rb 0.000 5.181 5.181
Rb 5.181 0.000 5.181
Rb 5.181 5.181 0.000
Ba 0.000 0.000 5.181
Ba 0.000 5.181 0.000
Ba 2.591 2.591 2.591
Ba 2.591 2.591 7.772
Ba 2.591 7.772 2.591
Ba 2.591 7.772 7.772
Ba 5.181 0.000 0.000
Ba 5.181 5.181 5.181
Ba 7.772 2.591 2.591
Ba 7.772 2.591 7.772
Ba 7.772 7.772 2.591
Ba 7.772 7.772 7.772
```

Output
Energy relative to the elements in eV per atom: 0.13
VASP energy in eV/atom: -1.550
Energy relative to the lowest polymorph listed for this composition in meV per atom: 10.2


# 17
Crystalline BaRe3 at its relaxed geometry. Source: Materials Project, functional PBE-GGA.

```
16
Lattice="6.668 0.000 0.000 0.000 6.668 0.000 0.000 0.000 6.668" Properties=species:S:1:pos:R:3 pbc="T T T"
Ba 0.000 0.000 0.000
Ba 0.000 3.334 3.334
Ba 3.334 0.000 3.334
Ba 3.334 3.334 0.000
Re 0.000 0.000 3.334
Re 0.000 3.334 0.000
Re 1.667 1.667 1.667
Re 1.667 1.667 5.001
Re 1.667 5.001 1.667
Re 1.667 5.001 5.001
Re 3.334 0.000 0.000
Re 3.334 3.334 3.334
Re 5.001 1.667 1.667
Re 5.001 1.667 5.001
Re 5.001 5.001 1.667
Re 5.001 5.001 5.001
```

Output
Energy relative to the elements in eV per atom: 1.47
VASP energy in eV/atom: -8.338


# 18
Crystalline Ba2Re6S11 at its relaxed geometry. Source: Materials Project, functional PBE-GGA.

```
38
Lattice="4.660 2.691 10.773 -4.660 2.691 10.773 0.000 -5.381 10.773" Properties=species:S:1:pos:R:3 pbc="T T T"
Ba 0.000 0.000 6.096
Ba 0.000 0.000 10.064
Ba 0.000 0.000 22.256
Ba 0.000 0.000 26.223
Re -0.914 -4.165 11.867
Re -4.063 -1.291 20.453
Re -3.150 2.873 11.867
Re -0.914 -1.217 15.066
Re -1.510 0.183 17.253
Re -0.597 1.400 15.066
Re 0.597 -1.400 17.253
Re 1.510 -0.183 15.066
Re 0.914 1.217 17.253
Re 3.150 -2.873 20.453
Re 4.063 1.291 11.867
Re 0.914 4.165 20.453
S -2.164 -2.691 13.466
S -2.972 0.453 11.750
S 0.000 0.000 2.936
S -2.782 0.343 15.183
S -1.688 -2.237 17.136
S -3.412 0.529 18.853
S -1.879 -2.347 20.570
S 1.093 -2.800 11.750
S 0.000 0.000 13.224
S 1.093 -2.581 15.183
S -1.248 3.219 13.466
S 1.248 -3.219 18.853
S -1.093 2.581 17.136
S 0.000 0.000 19.096
S -1.093 2.800 20.570
S 1.879 2.347 11.750
S 3.412 -0.529 13.466
S 1.688 2.237 15.183
S 2.782 -0.343 17.136
S 0.000 0.000 29.384
S 2.972 -0.453 20.570
S 2.164 2.691 18.853
```

Output
Energy relative to the elements in eV per atom: -1.17
VASP energy in eV/atom: -7.407


# 19
Crystalline BaRe2Sn at its relaxed geometry. Source: Materials Project, functional PBE-GGA.

```
16
Lattice="7.032 0.000 0.000 0.000 7.032 0.000 0.000 0.000 7.032" Properties=species:S:1:pos:R:3 pbc="T T T"
Ba 0.000 0.000 0.000
Ba 0.000 3.516 3.516
Ba 3.516 0.000 3.516
Ba 3.516 3.516 0.000
Re 0.000 0.000 3.516
Re 0.000 3.516 0.000
Re 1.758 1.758 1.758
Re 1.758 5.274 5.274
Re 3.516 0.000 0.000
Re 3.516 3.516 3.516
Re 5.274 1.758 5.274
Re 5.274 5.274 1.758
Sn 1.758 1.758 5.274
Sn 1.758 5.274 1.758
Sn 5.274 1.758 1.758
Sn 5.274 5.274 5.274
```

Output
Energy relative to the elements in eV per atom: 1.30
VASP energy in eV/atom: -6.408


# 20
Crystalline Ba4Rh at its relaxed geometry. Source: Materials Project, functional PBE-GGA.

```
10
Lattice="0.000 6.584 6.584 6.584 0.000 6.584 6.584 6.584 0.000" Properties=species:S:1:pos:R:3 pbc="T T T"
Ba 9.891 6.569 6.569
Ba 3.277 3.277 3.277
Ba 6.599 6.599 3.277
Ba 6.599 3.277 6.599
Ba 6.569 9.891 6.569
Ba 6.569 6.569 9.891
Ba 9.891 9.891 9.891
Ba 3.277 6.599 6.599
Rh 4.938 4.938 4.938
Rh 8.230 8.230 8.230
```

Output
Energy relative to the elements in eV per atom: 0.04
VASP energy in eV/atom: -2.964


# 21
Crystalline BaRh2 at its relaxed geometry. Source: Materials Project, functional PBE-GGA.

```
6
Lattice="0.000 3.985 3.985 3.985 0.000 3.985 3.985 3.985 0.000" Properties=species:S:1:pos:R:3 pbc="T T T"
Ba 0.996 0.996 0.996
Ba 6.975 6.975 6.975
Rh 3.985 1.993 1.993
Rh 1.993 3.985 1.993
Rh 1.993 1.993 3.985
Rh 3.985 3.985 3.985
```

Output
Energy relative to the elements in eV per atom: -0.09
VASP energy in eV/atom: -5.640


# 22
Crystalline BaSi9Rh2 at its relaxed geometry. Source: Materials Project, functional PBE-GGA.

```
24
Lattice="3.132 -10.769 0.000 3.132 10.769 0.000 -0.032 0.000 6.278" Properties=species:S:1:pos:R:3 pbc="T T T"
Ba 3.108 6.743 4.709
Ba 3.124 -6.743 1.570
Si 1.397 3.426 4.727
Si 0.797 0.954 0.700
Si 0.781 -0.954 3.839
Si 3.124 5.395 1.570
Si 2.308 0.958 3.836
Si 3.115 3.453 2.988
Si 3.132 3.453 0.151
Si 1.413 -3.426 1.588
Si 2.324 -0.958 0.697
Si 3.907 0.958 5.581
Si 4.818 3.426 4.691
Si 3.099 -3.453 6.127
Si 3.116 -3.453 3.290
Si 3.923 -0.958 2.442
Si 3.108 -5.395 4.709
Si 5.451 0.954 2.440
Si 5.435 -0.954 5.579
Si 4.834 -3.426 1.552
Rh 3.124 9.300 1.570
Rh 3.124 1.499 1.570
Rh 3.108 -1.499 4.709
Rh 3.108 -9.300 4.709
```

Output
Energy relative to the elements in eV per atom: -0.38
VASP energy in eV/atom: -5.835


# 23
Crystalline BaSb12Ru4 at its relaxed geometry. Source: Materials Project, functional PBE-GGA.

```
17
Lattice="-4.719 4.719 4.719 4.719 -4.719 4.719 4.719 4.719 -4.719" Properties=species:S:1:pos:R:3 pbc="T T T"
Ba 0.000 0.000 0.000
Sb 3.246 0.000 1.514
Sb 6.192 0.000 1.514
Sb 4.719 3.205 -1.473
Sb 1.514 3.246 0.000
Sb 3.205 -1.473 4.719
Sb 4.719 3.205 1.473
Sb 0.000 1.514 3.246
Sb 1.514 6.192 0.000
Sb 3.205 1.473 4.719
Sb 0.000 1.514 6.192
Sb -1.473 4.719 3.205
Sb 1.473 4.719 3.205
Ru 2.360 2.360 -2.360
Ru 2.360 -2.360 2.360
Ru -2.360 2.360 2.360
Ru 2.360 2.360 2.360
```

Output
Energy relative to the elements in eV per atom: -0.33
VASP energy in eV/atom: -5.539